No. 1
! Sr4Be3Ge5 PBE relaxed; values from VASP
! total magnetization	0.000	μB/atom
! formation energy from the elements	-345.1	meV/atom
&SYSTEM
  ibrav = 0, nat = 12, ntyp = 3
/
ATOMIC_SPECIES
Sr 87.62 Sr.upf
Be 9.01 Be.upf
Ge 72.64 Ge.upf
CELL_PARAMETERS angstrom
4.1785 0.0000 0.0000
-2.0893 3.6187 0.0000
0.0000 0.0000 18.4516
ATOMIC_POSITIONS crystal
Sr 0.0000 0.0000 0.1249
Sr 0.0000 0.0000 0.3692
Sr 0.0000 0.0000 0.6308
Sr 0.0000 0.0000 0.8751
Be 0.6667 0.3333 0.0000
Be 0.6667 0.3333 0.2508
Be 0.6667 0.3333 0.7492
Ge 0.3333 0.6667 0.0000
Ge 0.3333 0.6667 0.2500
Ge 0.3333 0.6667 0.5000
Ge 0.3333 0.6667 0.7500
Ge 0.6667 0.3333 0.5000

***

No. 2
! BeGe2Te PBE relaxed; values from VASP
! total magnetization	0.000	μB/atom
! formation energy from the elements	514.0	meV/atom
&SYSTEM
  ibrav = 0, nat = 4, ntyp = 3
/
ATOMIC_SPECIES
Be 9.01 Be.upf
Ge 72.64 Ge.upf
Te 127.60 Te.upf
CELL_PARAMETERS angstrom
0.0000 3.3974 3.3974
3.3974 0.0000 3.3974
3.3974 3.3974 0.0000
ATOMIC_POSITIONS crystal
Be 0.0000 0.0000 0.0000
Ge 0.5000 0.5000 0.5000
Ge 0.7500 0.7500 0.7500
Te 0.2500 0.2500 0.2500

***

No. 3
! BeH8I2O10 PBE relaxed; values from VASP
! total magnetization	0.000	μB/atom
! formation energy from the elements	-1294.1	meV/atom
&SYSTEM
  ibrav = 0, nat = 84, ntyp = 4
/
ATOMIC_SPECIES
Be 9.01 Be.upf
H 1.01 H.upf
I 126.90 I.upf
O 16.00 O.upf
CELL_PARAMETERS angstrom
6.5690 0.0000 0.0000
0.0000 15.8897 0.0000
0.0000 0.0000 8.8805
ATOMIC_POSITIONS crystal
Be 0.2500 0.2500 0.1690
Be 0.2500 0.2500 0.6690
Be 0.7500 0.7500 0.3310
Be 0.7500 0.7500 0.8310
H 0.0065 0.6880 0.4601
H 0.0065 0.8120 0.9601
H 0.0217 0.7097 0.9881
H 0.0217 0.7903 0.4881
H 0.1164 0.1414 0.3037
H 0.1164 0.3586 0.8037
H 0.1364 0.1350 0.8181
H 0.1364 0.3650 0.3181
H 0.3636 0.1350 0.3181
H 0.3636 0.3650 0.8181
H 0.3836 0.1414 0.8037
H 0.3836 0.3586 0.3037
H 0.4783 0.7097 0.4881
H 0.4783 0.7903 0.9881
H 0.4935 0.6880 0.9601
H 0.4935 0.8120 0.4601
H 0.5065 0.1880 0.5399
H 0.5065 0.3120 0.0399
H 0.5217 0.2097 0.0119
H 0.5217 0.2903 0.5119
H 0.6164 0.6414 0.6963
H 0.6164 0.8586 0.1963
H 0.6364 0.6350 0.1819
H 0.6364 0.8650 0.6819
H 0.8636 0.6350 0.6819
H 0.8636 0.8650 0.1819
H 0.8836 0.6414 0.1963
H 0.8836 0.8586 0.6963
H 0.9783 0.2097 0.5119
H 0.9783 0.2903 0.0119
H 0.9935 0.1880 0.0399
H 0.9935 0.3120 0.5399
I 0.2364 0.5441 0.0688
I 0.2364 0.9559 0.5688
I 0.2636 0.5441 0.5688
I 0.2636 0.9559 0.0688
I 0.7364 0.0441 0.9312
I 0.7364 0.4559 0.4312
I 0.7636 0.0441 0.4312
I 0.7636 0.4559 0.9312
O 0.0138 0.5941 0.5324
O 0.0138 0.9059 0.0324
O 0.0348 0.2451 0.0789
O 0.0348 0.2549 0.5789
O 0.0977 0.6407 0.1176
O 0.0977 0.8593 0.6176
O 0.1434 0.5290 0.8758
O 0.1434 0.9710 0.3758
O 0.2491 0.1592 0.7565
O 0.2491 0.3408 0.2565
O 0.2509 0.1592 0.2565
O 0.2509 0.3408 0.7565
O 0.3566 0.5290 0.3758
O 0.3566 0.9710 0.8758
O 0.4023 0.6407 0.6176
O 0.4023 0.8593 0.1176
O 0.4652 0.2451 0.5789
O 0.4652 0.2549 0.0789
O 0.4862 0.5941 0.0324
O 0.4862 0.9059 0.5324
O 0.5138 0.0941 0.4676
O 0.5138 0.4059 0.9676
O 0.5348 0.7451 0.9211
O 0.5348 0.7549 0.4211
O 0.5977 0.1407 0.8824
O 0.5977 0.3593 0.3824
O 0.6434 0.0290 0.1242
O 0.6434 0.4710 0.6242
O 0.7491 0.6592 0.2435
O 0.7491 0.8408 0.7435
O 0.7509 0.6592 0.7435
O 0.7509 0.8408 0.2435
O 0.8566 0.0290 0.6242
O 0.8566 0.4710 0.1242
O 0.9023 0.1407 0.3824
O 0.9023 0.3593 0.8824
O 0.9652 0.7451 0.4211
O 0.9652 0.7549 0.9211
O 0.9862 0.0941 0.9676
O 0.9862 0.4059 0.4676

***

No. 4
! K2BeH4S2O10 PBE relaxed; values from VASP
! total magnetization	0.000	μB/atom
! formation energy from the elements	-1995.4	meV/atom
&SYSTEM
  ibrav = 0, nat = 76, ntyp = 5
/
ATOMIC_SPECIES
K 39.10 K.upf
Be 9.01 Be.upf
H 1.01 H.upf
S 32.06 S.upf
O 16.00 O.upf
CELL_PARAMETERS angstrom
11.2163 0.0000 0.0000
0.0000 11.7297 0.0000
-0.6949 0.0000 7.3525
ATOMIC_POSITIONS crystal
K 0.0909 0.2399 0.4804
K 0.0909 0.2601 0.9804
K 0.3922 0.0960 0.8169
K 0.3922 0.4040 0.3169
K 0.6078 0.5960 0.6831
K 0.6078 0.9040 0.1831
K 0.9091 0.7399 0.0196
K 0.9091 0.7601 0.5196
Be 0.2367 0.5824 0.9114
Be 0.2367 0.9176 0.4114
Be 0.7633 0.0824 0.5886
Be 0.7633 0.4176 0.0886
H 0.0914 0.5202 0.7003
H 0.0914 0.9798 0.2003
H 0.1900 0.5887 0.5961
H 0.1900 0.9113 0.0961
H 0.2985 0.7315 0.3922
H 0.2985 0.7685 0.8922
H 0.4112 0.6860 0.9738
H 0.4112 0.8140 0.4738
H 0.5888 0.1860 0.5262
H 0.5888 0.3140 0.0262
H 0.7015 0.2315 0.1078
H 0.7015 0.2685 0.6078
H 0.8100 0.0887 0.9039
H 0.8100 0.4113 0.4039
H 0.9086 0.0202 0.7997
H 0.9086 0.4798 0.2997
S 0.1277 0.5535 0.2502
S 0.1277 0.9465 0.7502
S 0.3650 0.1151 0.3234
S 0.3650 0.3849 0.8234
S 0.6350 0.6151 0.1766
S 0.6350 0.8849 0.6766
S 0.8723 0.0535 0.2498
S 0.8723 0.4465 0.7498
O 0.0097 0.5922 0.3035
O 0.0097 0.9078 0.8035
O 0.1351 0.0718 0.7476
O 0.1351 0.4282 0.2476
O 0.1397 0.6024 0.0627
O 0.1397 0.8976 0.5627
O 0.1533 0.5818 0.7144
O 0.1533 0.9182 0.2144
O 0.2272 0.6006 0.3789
O 0.2272 0.8994 0.8789
O 0.2666 0.1880 0.2416
O 0.2666 0.3120 0.7416
O 0.3122 0.0324 0.4565
O 0.3122 0.4676 0.9565
O 0.3295 0.6891 0.9041
O 0.3295 0.8109 0.4041
O 0.4217 0.0492 0.1859
O 0.4217 0.4508 0.6859
O 0.4522 0.1865 0.4381
O 0.4522 0.3135 0.9381
O 0.5478 0.6865 0.0619
O 0.5478 0.8135 0.5619
O 0.5783 0.5492 0.3141
O 0.5783 0.9508 0.8141
O 0.6705 0.1891 0.5959
O 0.6705 0.3109 0.0959
O 0.6878 0.5324 0.0435
O 0.6878 0.9676 0.5435
O 0.7334 0.6880 0.2584
O 0.7334 0.8120 0.7584
O 0.7728 0.1006 0.1211
O 0.7728 0.3994 0.6211
O 0.8467 0.0818 0.7856
O 0.8467 0.4182 0.2856
O 0.8603 0.1024 0.4373
O 0.8603 0.3976 0.9373
O 0.8649 0.5718 0.7524
O 0.8649 0.9282 0.2524
O 0.9903 0.0922 0.1965
O 0.9903 0.4078 0.6965

***

No. 5
! BePH4NO4 PBE relaxed; values from VASP
! formation energy from the elements	-1820.2	meV/atom
&SYSTEM
  ibrav = 0, nat = 44, ntyp = 5
/
ATOMIC_SPECIES
Be 9.01 Be.upf
P 30.97 P.upf
H 1.01 H.upf
N 14.01 N.upf
O 16.00 O.upf
CELL_PARAMETERS angstrom
8.7742 0.0000 0.0000
0.0000 8.7022 0.0000
0.0000 0.0000 4.9835
ATOMIC_POSITIONS crystal
Be 0.1742 0.0933 0.0000
Be 0.3258 0.5933 0.5000
Be 0.6742 0.4067 0.0000
Be 0.8258 0.9067 0.5000
P 0.1845 0.9143 0.4999
P 0.3155 0.4143 0.9999
P 0.6845 0.5857 0.4999
P 0.8155 0.0857 0.9999
H 0.0080 0.2107 0.3715
H 0.0124 0.2798 0.6851
H 0.0988 0.3757 0.4288
H 0.0986 0.6349 0.9429
H 0.4014 0.1349 0.4429
H 0.4012 0.8757 0.9288
H 0.4876 0.7798 0.1851
H 0.4920 0.7107 0.8715
H 0.5080 0.2893 0.3715
H 0.5124 0.2202 0.6851
H 0.5988 0.1243 0.4288
H 0.5986 0.8651 0.9429
H 0.9014 0.3651 0.4429
H 0.9012 0.6243 0.9288
H 0.9876 0.7202 0.1851
H 0.9920 0.7893 0.8715
N 0.0043 0.3096 0.4854
N 0.4957 0.8096 0.9854
N 0.5043 0.1904 0.4854
N 0.9957 0.6904 0.9854
O 0.0108 0.8906 0.4937
O 0.2331 0.0434 0.3010
O 0.2365 0.9640 0.7860
O 0.2368 0.2634 0.9224
O 0.2632 0.7634 0.4224
O 0.2635 0.4640 0.2860
O 0.2669 0.5434 0.8010
O 0.4892 0.3906 0.9937
O 0.5108 0.6094 0.4937
O 0.7331 0.4566 0.3010
O 0.7365 0.5360 0.7860
O 0.7368 0.2366 0.9224
O 0.7632 0.7366 0.4224
O 0.7635 0.0360 0.2860
O 0.7669 0.9566 0.8010
O 0.9892 0.1094 0.9937

***

No. 6
! Na16Be8H15 PBE relaxed; values from VASP
! total magnetization	0.011	μB/atom
! formation energy from the elements	96.6	meV/atom
&SYSTEM
  ibrav = 0, nat = 117, ntyp = 3
/
ATOMIC_SPECIES
Na 22.99 Na.upf
Be 9.01 Be.upf
H 1.01 H.upf
CELL_PARAMETERS angstrom
8.3506 0.0000 0.0000
-2.6084 8.3528 0.0000
-0.0042 -0.6122 27.5097
ATOMIC_POSITIONS crystal
Na 0.0000 0.0000 0.0000
Na 0.9998 0.0013 0.3323
Na 0.0812 0.8834 0.4512
Na 0.0863 0.8821 0.1193
Na 0.1004 0.8797 0.7872
Na 0.1335 0.3609 0.0644
Na 0.1337 0.3613 0.3993
Na 0.1411 0.3463 0.7315
Na 0.2335 0.7347 0.6862
Na 0.2339 0.2434 0.8532
Na 0.2381 0.2443 0.1875
Na 0.2417 0.2451 0.5209
Na 0.2493 0.7545 0.0218
Na 0.2510 0.7560 0.3538
Na 0.3486 0.6380 0.5663
Na 0.3487 0.6393 0.2340
Na 0.3502 0.6404 0.9020
Na 0.3849 0.1066 0.2839
Na 0.3868 0.1040 0.9479
Na 0.3903 0.0869 0.6177
Na 0.4873 0.9908 0.4939
Na 0.4883 0.4880 0.3327
Na 0.4897 0.4897 0.9988
Na 0.4901 0.9930 0.1650
Na 0.4911 0.9898 0.8332
Na 0.4998 0.5000 0.6653
Na 0.5829 0.3841 0.7851
Na 0.5985 0.3876 0.1158
Na 0.5996 0.3792 0.4541
Na 0.6338 0.8603 0.7325
Na 0.6396 0.8466 0.0660
Na 0.6418 0.8457 0.3977
Na 0.7329 0.2328 0.3537
Na 0.7333 0.7427 0.5198
Na 0.7349 0.2348 0.0190
Na 0.7403 0.7403 0.1871
Na 0.7415 0.7447 0.8550
Na 0.7488 0.2539 0.6874
Na 0.8495 0.1352 0.2332
Na 0.8487 0.1363 0.9002
Na 0.8504 0.1400 0.5683
Na 0.8852 0.6039 0.6155
Na 0.8908 0.5884 0.9530
Na 0.8931 0.5814 0.2848
Na 0.9876 0.4904 0.8282
Na 0.9890 0.4903 0.1624
Na 0.9891 0.9885 0.6665
Na 0.9904 0.4899 0.5000
Be 0.1037 0.8565 0.5608
Be 0.1094 0.8674 0.2344
Be 0.1090 0.8671 0.8996
Be 0.1261 0.3805 0.6231
Be 0.1314 0.3700 0.9539
Be 0.1353 0.3656 0.2882
Be 0.3444 0.0990 0.7283
Be 0.3456 0.1093 0.0628
Be 0.3474 0.1126 0.3978
Be 0.3696 0.6346 0.7880
Be 0.3807 0.6208 0.1226
Be 0.3888 0.6181 0.4547
Be 0.6031 0.3516 0.2263
Be 0.6070 0.3640 0.5661
Be 0.6080 0.3595 0.8949
Be 0.6242 0.8782 0.9569
Be 0.6240 0.8806 0.2892
Be 0.6330 0.8714 0.6212
Be 0.8428 0.5972 0.3943
Be 0.8492 0.6128 0.7314
Be 0.8552 0.6063 0.0633
Be 0.8704 0.1343 0.4545
Be 0.8729 0.1328 0.1208
Be 0.8883 0.1184 0.7885
H 0.0021 0.2494 0.6431
H 0.0067 0.7508 0.5247
H 0.0087 0.7326 0.8727
H 0.0131 0.7216 0.2123
H 0.2087 0.5014 0.3187
H 0.2111 0.4955 0.9872
H 0.2225 0.9717 0.2024
H 0.2251 0.4794 0.6600
H 0.2311 0.9760 0.8715
H 0.2382 0.9765 0.5395
H 0.2556 0.9987 0.6905
H 0.2684 0.4861 0.1451
H 0.2677 0.4863 0.4757
H 0.2759 0.4796 0.8034
H 0.4509 0.2461 0.7111
H 0.4561 0.2358 0.3697
H 0.4597 0.2462 0.0411
H 0.4729 0.7321 0.4903
H 0.4743 0.7336 0.1574
H 0.4824 0.7223 0.8239
H 0.4828 0.7660 0.6395
H 0.5008 0.7490 0.9779
H 0.5025 0.7474 0.3088
H 0.5080 0.2330 0.5377
H 0.5081 0.2499 0.8601
H 0.5099 0.2566 0.1874
H 0.7116 0.9947 0.6552
H 0.7239 0.9808 0.3256
H 0.7246 0.9790 0.9932
H 0.7304 0.4751 0.5390
H 0.7385 0.4779 0.8717
H 0.7436 0.4744 0.2094
H 0.7497 0.4985 0.0297
H 0.7558 0.4970 0.3562
H 0.7673 0.9865 0.8096
H 0.7698 0.9852 0.1392
H 0.7768 0.9793 0.4700
H 0.9509 0.7443 0.3772
H 0.9572 0.7387 0.7040
H 0.9572 0.7437 0.0396
H 0.9730 0.2319 0.8241
H 0.9779 0.2717 0.3057
H 0.9826 0.2226 0.4905
H 0.9830 0.2240 0.1569
H 0.9845 0.2642 0.9738